DFT (r2SCAN) results for crystalline K3RhCl6 at its relaxed geometry.

The structure in CIF format:
```
data_K3RhCl6
_space_group_name_H-M_alt 'P 1 21/c 1'
_space_group_IT_number 14
_cell_length_a 12.5499
_cell_length_b 7.4698
_cell_length_c 11.8789
_cell_angle_alpha 90.00
_cell_angle_beta 108.21
_cell_angle_gamma 90.00
loop_
_space_group_symop_operation_xyz
'x,y,z'
'-x,-y,-z'
'-x,y+1/2,-z+1/2'
'x,-y+1/2,z+1/2'
loop_
_atom_site_label
_atom_site_type_symbol
_atom_site_fract_x
_atom_site_fract_y
_atom_site_fract_z
_atom_site_occupancy
K1 K 0.0981 0.0425 0.3580 1
K2 K 0.3174 0.5704 0.2660 1
K3 K 0.3184 0.0675 0.1139 1
Rh1 Rh 0.0000 0.0000 0.0000 1
Rh2 Rh 0.5000 0.0000 0.5000 1
Cl1 Cl 0.0925 0.2416 0.6012 1
Cl2 Cl 0.1171 0.0023 0.8790 1
Cl3 Cl 0.1242 0.6876 0.6396 1
Cl4 Cl 0.3527 0.6936 0.0056 1
Cl5 Cl 0.3598 0.2053 0.3967 1
Cl6 Cl 0.4996 0.1295 0.6810 1
```

energy of formation from the pure elements: -1.65 eV per atom
electronic total energy: -9.56 eV per atom


DFT (r2SCAN) results for crystalline Tm2Mg at its relaxed geometry.

The structure in CIF format:
```
data_Tm2Mg
_space_group_name_H-M_alt 'P 1 m 1'
_space_group_IT_number 6
_cell_length_a 3.6320
_cell_length_b 5.3640
_cell_length_c 8.6553
_cell_angle_alpha 90.00
_cell_angle_beta 102.10
_cell_angle_gamma 90.00
loop_
_space_group_symop_operation_xyz
'x,y,z'
'x,-y,z'
loop_
_atom_site_label
_atom_site_type_symbol
_atom_site_fract_x
_atom_site_fract_y
_atom_site_fract_z
_atom_site_occupancy
Tm1 Tm 0.0000 0.0000 0.0000 1
Tm2 Tm 0.1347 0.5000 0.2700 1
Tm3 Tm 0.3201 0.0000 0.6416 1
Tm4 Tm 0.4557 0.5000 0.9115 1
Mg1 Mg 0.6609 0.0000 0.3227 1
Mg2 Mg 0.7921 0.5000 0.5894 1
```

energy of formation from the pure elements: -0.06 eV per atom
electronic total energy: -24.86 eV per atom


DFT (r2SCAN) results for crystalline PaTe2Au at its relaxed geometry.

The structure in CIF format:
```
data_PaTe2Au
_space_group_name_H-M_alt 'F m -3 m'
_space_group_IT_number 225
_space_group_name_Hall '-F 4 2 3'
_cell_length_a 7.4119
_cell_length_b 7.4119
_cell_length_c 7.4119
_cell_angle_alpha 90.00
_cell_angle_beta 90.00
_cell_angle_gamma 90.00
loop_
_atom_site_label
_atom_site_type_symbol
_atom_site_fract_x
_atom_site_fract_y
_atom_site_fract_z
_atom_site_occupancy
Pa1 Pa 0.0000 0.0000 0.0000 1
Te1 Te 0.2500 0.2500 0.2500 1
Au1 Au 0.0000 0.0000 0.5000 1
```

energy of formation from the pure elements: -0.49 eV per atom
electronic total energy: -45.06 eV per atom


DFT (r2SCAN) results for crystalline ThGe2Ir2 at its relaxed geometry.

The structure in CIF format:
```
data_ThGe2Ir2
_space_group_name_H-M_alt 'P 4/n m m'
_space_group_IT_number 129
_cell_length_a 4.2620
_cell_length_b 4.2620
_cell_length_c 10.1235
_cell_angle_alpha 90.00
_cell_angle_beta 90.00
_cell_angle_gamma 90.00
loop_
_space_group_symop_operation_xyz
'x,y,z'
'-x,-y,-z'
'-y+1/2,x,z'
'y+1/2,-x,-z'
'-x+1/2,-y+1/2,z'
'x+1/2,y+1/2,-z'
'y,-x+1/2,z'
'-y,x+1/2,-z'
'x+1/2,-y,-z'
'-x+1/2,y,z'
'-y,-x,-z'
'y,x,z'
'-x,y+1/2,-z'
'x,-y+1/2,z'
'y+1/2,x+1/2,-z'
'-y+1/2,-x+1/2,z'
loop_
_atom_site_label
_atom_site_type_symbol
_atom_site_fract_x
_atom_site_fract_y
_atom_site_fract_z
_atom_site_occupancy
Th1 Th 0.2500 0.2500 0.2426 1
Ge1 Ge 0.2500 0.2500 0.6311 1
Ge2 Ge 0.2500 0.7500 0.0000 1
Ir1 Ir 0.2500 0.2500 0.8718 1
Ir2 Ir 0.2500 0.7500 0.5000 1
```

energy of formation from the pure elements: -0.91 eV per atom
electronic total energy: -42.10 eV per atom


DFT (r2SCAN) results for crystalline LaScGe at its relaxed geometry.

The structure in CIF format:
```
data_LaScGe
_space_group_name_H-M_alt 'I 4/m m m'
_space_group_IT_number 139
_space_group_name_Hall '-I 4 2'
_cell_length_a 4.3728
_cell_length_b 4.3728
_cell_length_c 16.3669
_cell_angle_alpha 90.00
_cell_angle_beta 90.00
_cell_angle_gamma 90.00
loop_
_atom_site_label
_atom_site_type_symbol
_atom_site_fract_x
_atom_site_fract_y
_atom_site_fract_z
_atom_site_occupancy
La1 La 0.0000 0.0000 0.1772 1
Sc1 Sc 0.0000 0.5000 0.0000 1
Ge1 Ge 0.0000 0.0000 0.3814 1
```

energy of formation from the pure elements: -0.83 eV per atom
electronic total energy: -19.17 eV per atom


DFT (r2SCAN) results for crystalline Ho3InS6 at its relaxed geometry.

The structure in CIF format:
```
data_Ho3InS6
_space_group_name_H-M_alt 'P 21 21 2'
_space_group_IT_number 18
_cell_length_a 13.4301
_cell_length_b 16.4133
_cell_length_c 3.8193
_cell_angle_alpha 90.00
_cell_angle_beta 90.00
_cell_angle_gamma 90.00
loop_
_space_group_symop_operation_xyz
'x,y,z'
'-x,-y,z'
'x+1/2,-y+1/2,-z'
'-x+1/2,y+1/2,-z'
loop_
_atom_site_label
_atom_site_type_symbol
_atom_site_fract_x
_atom_site_fract_y
_atom_site_fract_z
_atom_site_occupancy
Ho1 Ho 0.0386 0.2246 0.2509 1
Ho2 Ho 0.1898 0.6460 0.2502 1
Ho3 Ho 0.2493 0.8926 0.7497 1
In1 In 0.0000 0.0000 0.7445 1
In2 In 0.0000 0.5000 0.7496 1
S1 S 0.0199 0.3947 0.2497 1
S2 S 0.0969 0.9131 0.2492 1
S3 S 0.1114 0.1185 0.7512 1
S4 S 0.1129 0.7460 0.7503 1
S5 S 0.1822 0.2872 0.7502 1
S6 S 0.1928 0.5208 0.7500 1
```

energy of formation from the pure elements: -1.96 eV per atom
electronic total energy: -18.90 eV per atom


DFT (r2SCAN) results for crystalline RbAgSe4 at its relaxed geometry.

The structure in CIF format:
```
data_RbAgSe4
_space_group_name_H-M_alt 'P 21 21 21'
_space_group_IT_number 19
_cell_length_a 5.8210
_cell_length_b 9.0362
_cell_length_c 13.5357
_cell_angle_alpha 90.00
_cell_angle_beta 90.00
_cell_angle_gamma 90.00
loop_
_space_group_symop_operation_xyz
'x,y,z'
'-x+1/2,-y,z+1/2'
'x+1/2,-y+1/2,-z'
'-x,y+1/2,-z+1/2'
loop_
_atom_site_label
_atom_site_type_symbol
_atom_site_fract_x
_atom_site_fract_y
_atom_site_fract_z
_atom_site_occupancy
Rb1 Rb 0.1700 0.0577 0.3392 1
Ag1 Ag 0.0354 0.1336 0.0645 1
Se1 Se 0.0794 0.5792 0.9227 1
Se2 Se 0.1284 0.6876 0.6130 1
Se3 Se 0.1337 0.3647 0.8214 1
Se4 Se 0.1880 0.8663 0.1045 1
```

energy of formation from the pure elements: -0.46 eV per atom
electronic total energy: -15.88 eV per atom


DFT (r2SCAN) results for crystalline La7Ni16 at its relaxed geometry.

The structure in CIF format:
```
data_La7Ni16
_space_group_name_H-M_alt 'I -4 2 m'
_space_group_IT_number 121
_space_group_name_Hall 'I -4 2'
_cell_length_a 7.2664
_cell_length_b 7.2664
_cell_length_c 14.3567
_cell_angle_alpha 90.00
_cell_angle_beta 90.00
_cell_angle_gamma 90.00
loop_
_atom_site_label
_atom_site_type_symbol
_atom_site_fract_x
_atom_site_fract_y
_atom_site_fract_z
_atom_site_occupancy
La1 La 0.0000 0.0000 0.0000 1
La2 La 0.0000 0.5000 0.2500 1
La3 La 0.1960 0.1960 0.6028 1
Ni1 Ni 0.1168 0.3687 0.9344 1
Ni2 Ni 0.1181 0.1181 0.8152 1
Ni3 Ni 0.1381 0.1381 0.3011 1
```

energy of formation from the pure elements: -0.28 eV per atom
electronic total energy: -17.67 eV per atom


Copy entry 2 word for word.
DFT (r2SCAN) results for crystalline Tm2Mg at its relaxed geometry.

The structure in CIF format:
```
data_Tm2Mg
_space_group_name_H-M_alt 'P 1 m 1'
_space_group_IT_number 6
_cell_length_a 3.6320
_cell_length_b 5.3640
_cell_length_c 8.6553
_cell_angle_alpha 90.00
_cell_angle_beta 102.10
_cell_angle_gamma 90.00
loop_
_space_group_symop_operation_xyz
'x,y,z'
'x,-y,z'
loop_
_atom_site_label
_atom_site_type_symbol
_atom_site_fract_x
_atom_site_fract_y
_atom_site_fract_z
_atom_site_occupancy
Tm1 Tm 0.0000 0.0000 0.0000 1
Tm2 Tm 0.1347 0.5000 0.2700 1
Tm3 Tm 0.3201 0.0000 0.6416 1
Tm4 Tm 0.4557 0.5000 0.9115 1
Mg1 Mg 0.6609 0.0000 0.3227 1
Mg2 Mg 0.7921 0.5000 0.5894 1
```

energy of formation from the pure elements: -0.06 eV per atom
electronic total energy: -24.86 eV per atom